(1)
DFT (GGA+U) results for a relaxed structure of DyMnCrO5.

Geometry as POSCAR:
```
DyMnCrO5
1.0
7.240 0.000 0.000
0.000 8.656 0.000
0.000 0.000 5.835
Dy Mn Cr O
4 4 4 20
Cartesian
0.993 1.503 0.000
2.627 5.831 0.000
4.612 2.825 0.000
6.247 7.153 0.000
0.668 7.357 2.918
2.952 3.029 2.918
4.288 5.627 2.918
6.572 1.299 2.918
0.000 4.328 1.465
0.000 4.328 4.370
3.620 0.000 1.465
3.620 0.000 4.370
0.000 0.000 1.607
0.000 0.000 4.229
0.778 6.153 1.402
0.778 6.153 4.433
1.070 3.656 2.918
1.227 3.858 0.000
2.392 8.186 0.000
2.550 7.983 2.918
2.842 1.825 1.402
2.842 1.825 4.433
3.620 4.328 1.607
3.620 4.328 4.229
4.398 6.831 1.402
4.398 6.831 4.433
4.690 0.672 2.918
4.847 0.470 0.000
6.012 4.798 0.000
6.170 5.000 2.918
6.462 2.503 1.402
6.462 2.503 4.433
```

(2)
DFT (GGA+U) results for a relaxed structure of DyCrO3.

Geometry as POSCAR:
```
DyCrO3
1.0
5.612 0.000 0.000
0.000 7.655 0.000
0.000 0.000 5.305
Dy Cr O
4 4 12
Cartesian
0.382 1.914 0.103
2.424 5.741 2.756
3.188 1.914 2.549
5.230 5.741 5.201
0.000 0.000 2.652
0.000 3.828 2.652
2.806 0.000 0.000
2.806 3.828 0.000
0.231 5.741 2.051
1.105 4.272 4.284
1.105 7.211 4.284
1.701 0.445 1.632
1.701 3.383 1.632
2.575 1.914 4.703
3.037 5.741 0.602
3.911 4.272 3.673
3.911 7.211 3.673
4.507 0.445 1.020
4.507 3.383 1.020
5.381 1.914 3.254
```

(3)
DFT (GGA+U) results for a relaxed structure of DyCrO2.

Geometry as POSCAR:
```
DyCrO2
1.0
-3.049 3.049 5.924
3.049 -3.049 5.924
3.049 3.049 -5.924
Dy Cr O
4 4 8
Cartesian
0.000 0.000 0.000
1.524 1.524 -2.962
1.524 -1.524 2.962
0.000 3.049 0.000
3.049 0.000 0.000
-1.524 1.524 2.962
0.000 0.000 5.924
1.524 1.524 2.962
1.694 1.524 -0.588
4.404 1.524 -0.588
0.000 0.169 2.374
3.049 0.169 3.550
0.000 2.880 2.374
3.049 2.880 3.550
-1.355 1.524 6.512
1.355 1.524 6.512
```

(4)
DFT (GGA+U) results for a relaxed structure of DyCrO4.

Geometry as POSCAR:
```
DyCrO4
1.0
-3.607 3.607 3.145
3.607 -3.607 3.145
3.607 3.607 -3.145
Dy Cr O
2 2 8
Cartesian
3.607 1.804 0.786
0.000 1.804 2.359
3.607 -1.804 2.359
0.000 5.411 0.786
3.607 -0.476 1.260
3.607 3.131 -1.260
1.328 1.804 0.313
2.279 -1.804 3.458
1.328 5.411 -0.313
2.279 1.804 2.832
0.000 0.476 4.405
0.000 4.083 1.886
```

(5)
DFT (GGA+U) results for a relaxed structure of Sr2DyCrO6.

Geometry as POSCAR:
```
Sr2DyCrO6
1.0
0.000 4.089 4.089
4.089 0.000 4.089
4.089 4.089 0.000
Sr Dy Cr O
2 1 1 6
Cartesian
2.045 2.045 2.045
6.134 6.134 6.134
0.000 0.000 0.000
4.089 4.089 4.089
4.089 4.089 2.198
4.089 2.198 4.089
5.980 4.089 4.089
2.198 4.089 4.089
4.089 5.980 4.089
4.089 4.089 5.980
```

(6)
DFT (GGA+U) results for a relaxed structure of DyCrTeO6.

Output
Energy above the most stable polymorph in this dataset = 0.000 eV per atom

Geometry as POSCAR:
```
DyCrTeO6
1.0
5.184 0.000 0.000
-2.592 4.489 0.000
0.000 0.000 9.803
Dy Cr Te O
2 2 2 12
Cartesian
0.000 0.000 0.000
0.000 0.000 4.901
0.000 2.993 2.451
2.592 1.496 7.352
0.000 2.993 7.352
2.592 1.496 2.451
-0.892 1.639 8.437
-1.619 2.897 6.268
0.892 1.639 6.268
-0.726 4.443 8.437
1.866 0.047 3.535
0.973 1.592 1.366
1.619 2.897 8.437
0.726 4.443 6.268
3.318 0.047 1.366
1.700 2.850 3.535
4.211 1.592 3.535
3.484 2.850 1.366
```

(7)
DFT (GGA+U) results for a relaxed structure of DyCrTeO6.

Output
Energy above the most stable polymorph in this dataset = 0.259 eV per atom

Geometry as POSCAR:
```
DyCrTeO6
1.0
5.406 0.000 0.000
-2.703 4.682 0.000
0.000 0.000 8.654
Dy Cr Te O
2 2 2 12
Cartesian
0.000 3.121 2.164
2.703 1.561 6.491
0.000 0.000 0.000
0.000 0.000 4.327
0.000 3.121 6.491
2.703 1.561 2.164
-0.724 1.656 7.580
-1.631 3.227 5.402
0.724 1.656 5.402
-0.907 4.481 7.580
1.796 0.201 3.253
1.072 1.455 1.074
1.631 3.227 7.580
0.907 4.481 5.402
3.610 0.201 1.074
1.980 3.026 3.253
4.334 1.455 3.253
3.427 3.026 1.074
```

(8)
DFT (GGA+U) results for a relaxed structure of ErCrGeO5.

Geometry as POSCAR:
```
ErCrGeO5
1.0
7.414 0.000 0.000
0.000 8.447 0.000
0.000 0.000 5.796
Er Cr Ge O
4 4 4 20
Cartesian
1.081 1.460 0.000
2.626 5.683 0.000
4.788 2.764 0.000
6.333 6.987 0.000
0.000 4.223 1.450
0.000 4.223 4.346
3.707 0.000 1.450
3.707 0.000 4.346
0.864 7.219 2.898
2.843 2.996 2.898
4.571 5.451 2.898
6.550 1.228 2.898
0.000 0.000 1.664
0.000 0.000 4.132
0.833 6.054 1.444
0.833 6.054 4.353
1.164 3.530 2.898
1.257 3.728 0.000
2.450 7.952 0.000
2.543 7.754 2.898
2.874 1.831 1.444
2.874 1.831 4.353
3.707 4.223 1.664
3.707 4.223 4.132
4.540 6.616 1.444
4.540 6.616 4.353
4.871 0.693 2.898
4.964 0.495 0.000
6.157 4.718 0.000
6.250 4.917 2.898
6.581 2.392 1.444
6.581 2.392 4.353
```

(9)
DFT (GGA+U) results for a relaxed structure of Er2MgCr2O8.

Output
Energy above the most stable polymorph in this dataset = 0.000 eV per atom

Geometry as POSCAR:
```
Er2MgCr2O8
1.0
5.008 0.000 0.000
-0.944 5.026 0.000
-2.047 -2.480 7.182
Er Mg Cr O
2 1 2 8
Cartesian
0.000 0.000 0.000
-0.468 2.516 2.483
2.480 0.027 4.956
2.031 2.514 0.168
2.505 0.004 2.133
-1.114 -0.826 6.082
0.679 3.727 0.743
1.085 1.189 1.621
1.707 -1.035 3.486
1.076 0.902 6.076
3.388 1.304 0.739
2.982 3.841 1.623
3.293 1.051 3.481
```

(10)
DFT (GGA+U) results for a relaxed structure of Er2MgCr2O8.

Output
Energy above the most stable polymorph in this dataset = 0.023 eV per atom

Geometry as POSCAR:
```
Er2MgCr2O8
1.0
4.736 -3.555 0.000
4.736 3.555 0.000
-3.967 0.000 5.040
Er Mg Cr O
2 1 2 8
Cartesian
1.782 0.000 0.378
3.722 0.000 4.661
2.752 1.969 2.520
0.048 0.235 3.195
5.457 0.235 1.845
-0.965 1.408 4.048
-0.411 -0.147 1.453
1.792 0.358 3.354
-0.762 -1.237 4.021
3.712 0.358 1.686
6.469 1.408 0.992
6.266 -1.237 1.019
5.916 -0.147 3.586
```

(11)
DFT (GGA+U) results for a relaxed structure of Er2MgCr2O8.

Output
Energy above the most stable polymorph in this dataset = 0.033 eV per atom

Geometry as POSCAR:
```
Er2MgCr2O8
1.0
3.177 -5.123 0.000
3.177 5.123 0.000
-3.174 0.000 5.281
Er Mg Cr O
2 1 2 8
Cartesian
0.000 0.000 0.000
1.590 -2.253 2.640
1.590 5.040 2.640
1.590 2.313 2.640
3.177 0.030 0.000
0.515 3.589 3.480
0.315 1.465 1.759
-1.145 0.966 4.243
2.665 3.589 1.801
1.965 -0.894 0.929
2.866 1.465 3.522
4.326 0.966 1.038
1.216 -0.894 4.352
```

(12)
DFT (GGA+U) results for a relaxed structure of ErCrO4.

Geometry as POSCAR:
```
ErCrO4
1.0
-3.579 3.579 3.128
3.579 -3.579 3.128
3.579 3.579 -3.128
Er Cr O
2 2 8
Cartesian
3.579 1.790 0.782
0.000 1.790 2.346
3.579 -1.790 2.346
0.000 5.369 0.782
3.579 -0.465 1.244
3.579 3.114 -1.244
1.325 1.790 0.320
2.254 -1.790 3.448
1.325 5.369 -0.320
2.254 1.790 2.808
0.000 0.465 4.372
0.000 4.044 1.884
```

(13)
DFT (GGA+U) results for a relaxed structure of ErCrO3.

Geometry as POSCAR:
```
ErCrO3
1.0
5.592 0.000 0.000
0.000 7.621 0.000
0.000 0.000 5.268
Er Cr O
4 4 12
Cartesian
0.392 1.905 0.110
2.404 5.716 2.744
3.188 1.905 2.524
5.200 5.716 5.158
0.000 0.000 2.634
0.000 3.811 2.634
2.796 0.000 0.000
2.796 3.811 0.000
0.250 5.716 2.009
1.093 4.272 4.264
1.093 7.160 4.264
1.703 0.461 1.630
1.703 3.349 1.630
2.546 1.905 4.642
3.046 5.716 0.625
3.889 4.272 3.637
3.889 7.160 3.637
4.499 0.461 1.003
4.499 3.349 1.003
5.342 1.905 3.259
```

(14)
DFT (GGA+U) results for a relaxed structure of ErCrO4.

Geometry as POSCAR:
```
ErCrO4
1.0
-2.513 2.513 5.622
2.513 -2.513 5.622
2.513 2.513 -5.622
Er Cr O
2 2 8
Cartesian
0.000 1.256 1.406
2.513 1.256 4.217
2.513 1.256 -1.406
0.000 1.256 7.028
1.210 0.522 -0.528
1.778 0.046 2.283
1.778 2.559 -2.283
1.303 -0.522 5.094
1.210 3.035 0.528
0.734 -0.046 7.905
0.734 2.467 3.339
1.303 1.991 6.150
```

(15)
DFT (GGA+U) results for a relaxed structure of ErCr2O2.

Geometry as POSCAR:
```
ErCr2O2
1.0
-4.411 4.411 4.824
4.411 -4.411 4.824
4.411 4.411 -4.824
Er Cr O
4 8 8
Cartesian
0.000 0.000 0.000
2.205 2.205 -2.412
2.205 -2.205 2.412
0.000 4.411 0.000
4.411 -0.461 1.366
4.411 3.950 -1.366
1.744 2.205 1.046
2.667 -2.205 5.871
1.744 6.616 -1.046
2.667 2.205 3.778
0.000 0.461 6.191
0.000 4.872 3.458
3.051 2.205 -0.473
5.771 2.205 -0.473
0.000 0.846 1.939
4.411 0.846 2.885
0.000 3.565 1.939
4.411 3.565 2.885
-1.360 2.205 5.297
1.360 2.205 5.297
```

(16)
DFT (GGA+U) results for a relaxed structure of ErCrTeO6.

Output
Energy above the most stable polymorph in this dataset = 0.000 eV per atom

Geometry as POSCAR:
```
ErCrTeO6
1.0
5.190 0.000 0.000
-2.595 4.494 0.000
0.000 0.000 9.696
Er Cr Te O
2 2 2 12
Cartesian
0.000 0.000 0.000
0.000 0.000 4.848
0.000 2.996 2.424
2.595 1.498 7.272
0.000 2.996 7.272
2.595 1.498 2.424
-0.888 1.632 8.354
-1.626 2.910 6.191
0.888 1.632 6.191
-0.738 4.447 8.354
1.857 0.047 3.505
0.969 1.585 1.343
1.626 2.910 8.354
0.738 4.447 6.191
3.333 0.047 1.343
1.707 2.863 3.505
4.220 1.585 3.505
3.483 2.863 1.343
```

no.,energy of formation from the pure elements (eV/atom),E_tot (eV/atom),density (g/cm3)
1,-2.69,-7.821,6.3
2,-3.22,-8.232,7.7
3,-2.46,-7.653,7.4
4,-2.78,-7.665,5.7
5,-2.88,-6.996,5.9
6,-2.54,-7.096,6.4
7,-2.29,-6.838,6.6
8,-2.84,-7.607,6.8
9,-2.88,-7.504,5.4
10,-2.85,-7.480,5.8
11,-2.85,-7.471,5.7
12,-2.78,-7.662,5.9
13,-3.24,-8.238,7.9
14,-2.76,-7.639,6.6
15,-1.11,-6.791,5.4
16,-2.55,-7.096,6.5